1.
{"formula": "K3Th", "functional": "GGA-PBE", "state": "relaxed", "space_group": "Pm-3m, No. 221", "e_above_lowest_polymorph_kj_per_mol_fu": 3, "cell": [[6.018, 0.000, 0.000], [0.000, 6.018, 0.000], [0.000, 0.000, 6.018]], "species": ["K", "K", "K", "Th"], "frac_coords": [[0.000, 0.000, 0.500], [0.000, 0.500, 0.000], [0.500, 0.000, 0.000], [0.500, 0.500, 0.500]]}



2.
{"formula": "AgH5S2O9", "functional": "GGA-PBE", "state": "relaxed", "space_group": "P2_1/c, No. 14", "cell": [[7.410, 0.000, 0.000], [0.000, 13.307, 0.000], [-2.522, 0.000, 7.890]], "species": ["Ag", "Ag", "Ag", "Ag", "H", "H", "H", "H", "H", "H", "H", "H", "H", "H", "H", "H", "H", "H", "H", "H", "H", "H", "H", "H", "S", "S", "S", "S", "S", "S", "S", "S", "O", "O", "O", "O", "O", "O", "O", "O", "O", "O", "O", "O", "O", "O", "O", "O", "O", "O", "O", "O", "O", "O", "O", "O", "O", "O", "O", "O", "O", "O", "O", "O", "O", "O", "O", "O"], "frac_coords": [[0.103, 0.038, 0.278], [0.103, 0.462, 0.778], [0.897, 0.538, 0.222], [0.897, 0.962, 0.722], [0.141, 0.721, 0.954], [0.141, 0.779, 0.454], [0.313, 0.228, 0.545], [0.313, 0.272, 0.045], [0.365, 0.568, 0.477], [0.365, 0.932, 0.977], [0.454, 0.201, 0.205], [0.454, 0.299, 0.705], [0.466, 0.171, 0.717], [0.466, 0.329, 0.217], [0.534, 0.671, 0.783], [0.534, 0.829, 0.283], [0.546, 0.701, 0.295], [0.546, 0.799, 0.795], [0.635, 0.068, 0.023], [0.635, 0.432, 0.523], [0.687, 0.728, 0.955], [0.687, 0.772, 0.455], [0.859, 0.221, 0.546], [0.859, 0.279, 0.046], [0.006, 0.695, 0.612], [0.006, 0.805, 0.112], [0.396, 0.520, 0.235], [0.396, 0.980, 0.735], [0.604, 0.020, 0.265], [0.604, 0.480, 0.765], [0.994, 0.195, 0.888], [0.994, 0.305, 0.388], [0.076, 0.114, 0.007], [0.076, 0.386, 0.507], [0.090, 0.656, 0.786], [0.090, 0.844, 0.286], [0.132, 0.223, 0.397], [0.132, 0.277, 0.897], [0.181, 0.742, 0.568], [0.181, 0.758, 0.068], [0.249, 0.008, 0.582], [0.249, 0.492, 0.082], [0.285, 0.566, 0.353], [0.285, 0.934, 0.853], [0.442, 0.232, 0.639], [0.442, 0.268, 0.139], [0.468, 0.096, 0.287], [0.468, 0.404, 0.787], [0.500, 0.070, 0.827], [0.500, 0.430, 0.327], [0.500, 0.570, 0.673], [0.500, 0.930, 0.173], [0.532, 0.596, 0.213], [0.532, 0.904, 0.713], [0.558, 0.732, 0.861], [0.558, 0.768, 0.361], [0.715, 0.066, 0.147], [0.715, 0.434, 0.647], [0.751, 0.508, 0.918], [0.751, 0.992, 0.418], [0.819, 0.242, 0.932], [0.819, 0.258, 0.432], [0.868, 0.723, 0.103], [0.868, 0.777, 0.603], [0.910, 0.156, 0.714], [0.910, 0.344, 0.214], [0.924, 0.614, 0.493], [0.924, 0.886, 0.993]]}



3.
{"formula": "MnS2", "functional": "GGA-PBE", "state": "relaxed", "space_group": "Fd-3m, No. 227", "cell": [[0.000, 4.791, 4.791], [4.791, 0.000, 4.791], [4.791, 4.791, 0.000]], "species": ["Mn", "Mn", "Mn", "Mn", "S", "S", "S", "S", "S", "S", "S", "S"], "frac_coords": [[0.000, 0.000, 0.000], [0.000, 0.000, 0.500], [0.000, 0.500, 0.000], [0.500, 0.000, 0.000], [0.233, 0.756, 0.756], [0.244, 0.244, 0.244], [0.244, 0.244, 0.767], [0.244, 0.767, 0.244], [0.756, 0.233, 0.756], [0.756, 0.756, 0.233], [0.756, 0.756, 0.756], [0.767, 0.244, 0.244]]}



4.
{"formula": "SrMg6B", "functional": "GGA-PBE", "state": "relaxed", "space_group": "Amm2, No. 38", "e_above_lowest_polymorph_kj_per_mol_fu": 0, "cell": [[3.980, 0.000, 0.000], [0.000, 6.244, 0.000], [0.000, 0.000, 15.638]], "species": ["Sr", "Sr", "Mg", "Mg", "Mg", "Mg", "Mg", "Mg", "Mg", "Mg", "Mg", "Mg", "Mg", "Mg", "B", "B"], "frac_coords": [[0.000, 0.000, 0.000], [0.000, 0.500, 0.500], [0.000, 0.000, 0.575], [0.000, 0.225, 0.811], [0.000, 0.275, 0.311], [0.000, 0.500, 0.075], [0.000, 0.725, 0.311], [0.000, 0.775, 0.811], [0.500, 0.000, 0.417], [0.500, 0.247, 0.179], [0.500, 0.253, 0.679], [0.500, 0.500, 0.917], [0.500, 0.747, 0.679], [0.500, 0.753, 0.179], [0.500, 0.000, 0.822], [0.500, 0.500, 0.322]]}



5.
{"formula": "MoWSeS3", "functional": "GGA-PBE", "state": "relaxed", "space_group": "P3m1, No. 156", "e_above_lowest_polymorph_kj_per_mol_fu": 10, "cell": [[3.222, 0.000, 0.000], [-1.611, 2.790, 0.000], [0.000, 0.000, 36.391]], "species": ["Mo", "Mo", "W", "W", "Se", "Se", "S", "S", "S", "S", "S", "S"], "frac_coords": [[0.000, 0.000, 0.000], [0.333, 0.667, 0.188], [0.000, 0.000, 0.376], [0.333, 0.667, 0.564], [0.333, 0.667, 0.328], [0.333, 0.667, 0.423], [0.000, 0.000, 0.145], [0.000, 0.000, 0.231], [0.000, 0.000, 0.521], [0.000, 0.000, 0.607], [0.333, 0.667, 0.043], [0.333, 0.667, 0.957]]}



6.
{"formula": "Li2Mg", "functional": "GGA-PBE", "state": "relaxed", "space_group": "Cm, No. 8", "cell": [[11.342, 0.000, 0.000], [0.000, 3.100, 0.000], [-2.031, 0.000, 7.002]], "species": ["Li", "Li", "Li", "Li", "Li", "Li", "Li", "Li", "Mg", "Mg", "Mg", "Mg"], "frac_coords": [[0.000, 0.000, 0.000], [0.055, 0.000, 0.610], [0.168, 0.500, 0.334], [0.334, 0.000, 0.667], [0.500, 0.500, 0.000], [0.555, 0.500, 0.610], [0.668, 0.000, 0.334], [0.834, 0.500, 0.667], [0.218, 0.500, 0.936], [0.391, 0.000, 0.280], [0.718, 0.000, 0.936], [0.891, 0.500, 0.280]]}



no.,energy of formation from the pure elements (meV per atom),electronic total energy (hartree per atom)
1,964,-0.0633
2,-1450,-0.1969
3,-878,-0.2335
4,278,-0.0723
5,-1017,-0.2713
6,-35,-0.0676